The following is a DFT calculation (PBE-GGA) of an optimized crystal structure of Ce3GeS2.

* SG: No. 71
* energy relative to the elements: -10.68 eV/f.u.
* calculated volume: 147.3 Å³/cell

a b c (Å): 7.111 7.111 7.111
angles (deg): 146.31 131.78 60.11
Element x y z (fractional)
Ce: 0.328 0.328 0.000
Ce: 0.000 0.000 0.000
Ce: 0.672 0.672 0.000
Ge: 0.500 0.000 0.500
S: 0.165 0.665 0.500
S: 0.835 0.335 0.500

The following is a DFT calculation (PBE-GGA) of an optimized crystal structure of CeSiGe.

* SG: No. 74
* energy relative to the elements: -1.82 eV/f.u.
* calculated volume: 127.1 Å³/cell

a b c (Å): 4.157 4.099 8.010
angles (deg): 75.17 74.96 90.00
Element x y z (fractional)
Ce: 0.755 0.255 0.489
Ce: 0.995 0.995 0.011
Si: 0.336 0.836 0.327
Si: 0.414 0.414 0.173
Ge: 0.172 0.672 0.656
Ge: 0.578 0.578 0.844

The following is a DFT calculation (PBE-GGA) of an optimized crystal structure of CeSiGe.

* SG: No. 109
* energy relative to the elements: -1.76 eV/f.u.
* calculated volume: 126.6 Å³/cell

a b c (Å): 7.913 7.913 7.913
angles (deg): 149.59 149.59 43.55
Element x y z (fractional)
Ce: 0.582 0.582 0.000
Ce: 0.332 0.832 0.500
Si: 0.999 0.999 0.000
Si: 0.749 0.249 0.500
Ge: 0.165 0.165 0.000
Ge: 0.915 0.415 0.500

The following is a DFT calculation (PBE-GGA) of an optimized crystal structure of Ce12Sn5Ge3.

* SG: No. 140
* energy relative to the elements: -11.15 eV/f.u.
* calculated volume: 1132.7 Å³/cell

a b c (Å): 11.622 11.622 11.622
angles (deg): 92.48 118.58 118.58
Element x y z (fractional)
Ce: 0.169 0.835 0.335
Ce: 0.831 0.165 0.665
Ce: 0.500 0.665 0.835
Ce: 0.500 0.335 0.165
Ce: 0.500 0.857 0.357
Ce: 0.500 0.143 0.643
Ce: 0.500 0.357 0.857
Ce: 0.500 0.643 0.143
Ce: 0.737 0.801 0.665
Ce: 0.263 0.199 0.335
Ce: 0.263 0.928 0.064
Ce: 0.136 0.064 0.801
Ce: 0.864 0.699 0.436
Ce: 0.737 0.072 0.936
Ce: 0.864 0.936 0.199
Ce: 0.136 0.301 0.564
Ce: 0.864 0.665 0.928
Ce: 0.136 0.572 0.835
Ce: 0.136 0.335 0.072
Ce: 0.864 0.428 0.165
Ce: 0.737 0.436 0.572
Ce: 0.263 0.564 0.428
Ce: 0.263 0.835 0.699
Ce: 0.737 0.165 0.301
Sn: 0.000 0.000 0.000
Sn: 0.000 0.500 0.500
Sn: 0.151 0.624 0.124
Sn: 0.849 0.376 0.876
Sn: 0.849 0.973 0.473
Sn: 0.500 0.473 0.624
Sn: 0.500 0.876 0.027
Sn: 0.151 0.027 0.527
Sn: 0.500 0.527 0.376
Sn: 0.500 0.124 0.973
Ge: 0.000 0.750 0.750
Ge: 0.000 0.250 0.250
Ge: 0.258 0.379 0.879
Ge: 0.742 0.621 0.121
Ge: 0.500 0.121 0.379
Ge: 0.500 0.879 0.621

The following is a DFT calculation (PBE-GGA) of an optimized crystal structure of CeTiGe.

* SG: No. 139
* energy relative to the elements: -1.66 eV/f.u.
* calculated volume: 131.5 Å³/cell

a b c (Å): 8.421 8.421 8.421
angles (deg): 151.98 151.98 40.04
Element x y z (fractional)
Ce: 0.675 0.675 0.000
Ce: 0.325 0.325 0.000
Ti: 0.000 0.500 0.500
Ti: 0.500 0.000 0.500
Ge: 0.884 0.884 0.000
Ge: 0.116 0.116 0.000

The following is a DFT calculation (PBE-GGA) of an optimized crystal structure of CeTiGe3.

* SG: No. 194
* energy relative to the elements: -3.35 eV/f.u.
* calculated volume: 199.1 Å³/cell

a b c (Å): 5.815 6.288 6.288
angles (deg): 120.00 90.00 90.00
Element x y z (fractional)
Ce: 0.250 0.667 0.333
Ce: 0.750 0.333 0.667
Ti: 0.000 0.000 0.000
Ti: 0.500 0.000 0.000
Ge: 0.750 0.802 0.198
Ge: 0.250 0.198 0.802
Ge: 0.750 0.395 0.198
Ge: 0.250 0.605 0.802
Ge: 0.750 0.802 0.605
Ge: 0.250 0.198 0.395

The following is a DFT calculation (PBE-GGA) of an optimized crystal structure of CeTiGe.

* SG: No. 129
* energy relative to the elements: -1.73 eV/f.u.
* calculated volume: 129.5 Å³/cell

a b c (Å): 4.062 4.062 7.845
angles (deg): 90.00 90.00 90.00
Element x y z (fractional)
Ce: 0.000 0.500 0.355
Ce: 0.500 0.000 0.645
Ti: 0.500 0.500 0.000
Ti: 0.000 0.000 0.000
Ge: 0.500 0.000 0.231
Ge: 0.000 0.500 0.769

The following is a DFT calculation (PBE-GGA) of an optimized crystal structure of Ce2Zn6Ge3.

* SG: No. 189
* energy relative to the elements: -4.25 eV/f.u.
* calculated volume: 208.8 Å³/cell

a b c (Å): 7.678 7.678 4.090
angles (deg): 90.00 90.00 120.00
Element x y z (fractional)
Ce: 0.667 0.333 0.000
Ce: 0.333 0.667 0.000
Zn: 0.719 0.000 0.500
Zn: 0.000 0.719 0.500
Zn: 0.190 0.000 0.000
Zn: 0.810 0.810 0.000
Zn: 0.281 0.281 0.500
Zn: 0.000 0.190 0.000
Ge: 0.389 0.000 0.500
Ge: 0.611 0.611 0.500
Ge: 0.000 0.389 0.500

The following is a DFT calculation (PBE-GGA) of an optimized crystal structure of CeZnGe.

* SG: No. 194
* energy relative to the elements: -1.77 eV/f.u.
* calculated volume: 263.7 Å³/cell

a b c (Å): 4.286 4.286 16.575
angles (deg): 90.00 90.00 120.00
Element x y z (fractional)
Ce: 0.000 0.000 0.750
Ce: 0.000 0.000 0.250
Ce: 0.000 0.000 0.500
Ce: 0.000 0.000 0.000
Zn: 0.667 0.333 0.860
Zn: 0.667 0.333 0.640
Zn: 0.333 0.667 0.140
Zn: 0.333 0.667 0.360
Ge: 0.667 0.333 0.118
Ge: 0.667 0.333 0.382
Ge: 0.333 0.667 0.882
Ge: 0.333 0.667 0.618

The following is a DFT calculation (PBE-GGA) of an optimized crystal structure of Ce2Zn3Ge6.

* SG: No. 63
* energy relative to the elements: -4.31 eV/f.u.
* calculated volume: 437.5 Å³/cell

a b c (Å): 12.533 12.533 5.995
angles (deg): 90.00 90.00 152.31
Element x y z (fractional)
Ce: 0.107 0.893 0.750
Ce: 0.893 0.107 0.250
Ce: 0.606 0.394 0.250
Ce: 0.394 0.606 0.750
Zn: 0.769 0.769 0.000
Zn: 0.661 0.339 0.750
Zn: 0.769 0.769 0.500
Zn: 0.231 0.231 0.000
Zn: 0.339 0.661 0.250
Zn: 0.231 0.231 0.500
Ge: 0.984 0.584 0.034
Ge: 0.016 0.416 0.534
Ge: 0.416 0.016 0.034
Ge: 0.584 0.984 0.534
Ge: 0.016 0.416 0.966
Ge: 0.984 0.584 0.466
Ge: 0.584 0.984 0.966
Ge: 0.443 0.557 0.250
Ge: 0.928 0.072 0.750
Ge: 0.072 0.928 0.250
Ge: 0.557 0.443 0.750
Ge: 0.416 0.016 0.466

The following is a DFT calculation (PBE-GGA) of an optimized crystal structure of CeH2.

* SG: No. 225
* energy relative to the elements: -1.87 eV/f.u.
* calculated volume: 40.6 Å³/cell

a b c (Å): 3.858 3.858 3.858
angles (deg): 60.00 60.00 60.00
Element x y z (fractional)
Ce: 0.000 0.000 0.000
H: 0.250 0.250 0.250
H: 0.750 0.750 0.750

The following is a DFT calculation (PBE-GGA) of an optimized crystal structure of Ce2H5.

* SG: No. 141
* energy relative to the elements: -4.48 eV/f.u.
* calculated volume: 162.2 Å³/cell

a b c (Å): 6.704 6.704 6.704
angles (deg): 132.20 132.20 69.91
Element x y z (fractional)
Ce: 0.506 0.006 0.500
Ce: 0.756 0.756 0.000
Ce: 0.994 0.494 0.500
Ce: 0.244 0.244 0.000
H: 0.375 0.395 0.520
H: 0.875 0.855 0.480
H: 0.605 0.125 0.980
H: 0.145 0.625 0.020
H: 0.375 0.855 0.980
H: 0.875 0.395 0.020
H: 0.605 0.625 0.480
H: 0.145 0.125 0.520
H: 0.750 0.250 0.500
H: 0.000 0.000 0.000

energy relative to the elements of number 5 (CeTiGe)?
-1.66 eV/f.u.

What is the energy relative to the elements in the eighth record?
-4.25 eV/f.u.

Which value of calculated volume does entry 11 give?
40.6 Å³/cell

The highest calculated volume belongs to which entry?
Ce12Sn5Ge3